Te4MoW2Se2: optimized geometry, PBE-GGA.

Geometry as CIF:
```
data_Te4MoW2Se2
_cell_length_a 3.4799
_cell_length_b 3.4799
_cell_length_c 32.0569
_cell_angle_alpha 90.00
_cell_angle_beta 90.00
_cell_angle_gamma 120.00
_space_group_name_H-M_alt 'P 1'
_space_group_IT_number 1
loop_
_space_group_symop_operation_xyz
'x,y,z'
loop_
_atom_site_label
_atom_site_type_symbol
_atom_site_fract_x
_atom_site_fract_y
_atom_site_fract_z
Te1 Te 0.0000 0.0000 0.4045
Te2 Te 0.3333 0.6667 0.5207
Te3 Te 0.3333 0.6667 0.6359
Te4 Te 0.0000 0.0000 0.2893
Mo1 Mo 0.0000 0.0000 0.1157
W1 W 0.0000 0.0000 0.5784
W2 W 0.3333 0.6667 0.3470
Se1 Se 0.3333 0.6667 0.0651
Se2 Se 0.3333 0.6667 0.1662
```

Output
- energy relative to the elements (eV/f.u.) = -3.21
- electronic total energy (eV for the cell shown) = -58.6